[1]
Density functional theory data (PBE) for an optimized crystal structure of Zn2SiHO5.

Computed properties:
- relative energy among the computed polymorphs (eV/f.u.) = 0.04
- crystal system = orthorhombic
- ΔH_f (0 K) (meV per atom) = -1982
- DFT total energy (eV per cell) = -201.93
- total magnetization (μB/cell) = 3.999

Cell: 8.4610 10.8119 5.1768 Å, 90.00 90.00 90.00°
Fractional positions:
Zn (0.1724, 0.1751, 0.0000)
Zn (0.2373, 0.8551, 0.0029)
Zn (0.2627, 0.3551, 0.5029)
Zn (0.3276, 0.6751, 0.5000)
Zn (0.6724, 0.3249, 0.5000)
Zn (0.7373, 0.6449, 0.5029)
Zn (0.7627, 0.1449, 0.0029)
Zn (0.8276, 0.8249, 0.0000)
Si (0.0257, 0.8550, 0.5107)
Si (0.4743, 0.3550, 0.0107)
Si (0.5257, 0.6450, 0.0107)
Si (0.9743, 0.1450, 0.5107)
H (0.1152, 0.5348, 0.6782)
H (0.3848, 0.0348, 0.1782)
H (0.6152, 0.9652, 0.1782)
H (0.8848, 0.4652, 0.6782)
O (0.0000, 0.0000, 0.5986)
O (0.0000, 0.5000, 0.0101)
O (0.0305, 0.8356, 0.1968)
O (0.1223, 0.2226, 0.6396)
O (0.1952, 0.8120, 0.6386)
O (0.1986, 0.5263, 0.5473)
O (0.3014, 0.0263, 0.0473)
O (0.3048, 0.3120, 0.1386)
O (0.3777, 0.7226, 0.1396)
O (0.4695, 0.3356, 0.6968)
O (0.5000, 0.0000, 0.5101)
O (0.5000, 0.5000, 0.0986)
O (0.5305, 0.6644, 0.6968)
O (0.6223, 0.2774, 0.1396)
O (0.6952, 0.6880, 0.1386)
O (0.6986, 0.9737, 0.0473)
O (0.8014, 0.4737, 0.5473)
O (0.8048, 0.1880, 0.6386)
O (0.8777, 0.7774, 0.6396)
O (0.9695, 0.1644, 0.1968)

[2]
Density functional theory data (PBE) for an optimized crystal structure of Zn2SiHO5.

Computed properties:
- relative energy among the computed polymorphs (eV/f.u.) = 0.00
- crystal system = orthorhombic
- ΔH_f (0 K) (meV per atom) = -1987
- DFT total energy (eV per cell) = -101.05
- total magnetization (μB/cell) = 1.999

Cell: 7.3704 7.3704 7.3704 Å, 109.96 84.51 138.97°
Fractional positions:
Zn (0.1605, 0.2067, 0.3672)
Zn (0.1605, 0.7933, 0.9539)
Zn (0.8395, 0.2067, 0.0461)
Zn (0.8395, 0.7933, 0.6328)
Si (0.3612, 0.5064, 0.8548)
Si (0.6516, 0.5064, 0.1452)
H (0.1913, 0.5765, 0.3852)
H (0.1913, 0.8061, 0.6148)
O (0.0262, 0.1924, 0.8338)
O (0.0580, 0.3594, 0.3014)
O (0.0580, 0.7567, 0.6986)
O (0.3586, 0.1924, 0.1662)
O (0.4317, 0.4761, 0.6351)
O (0.4317, 0.7966, 0.9556)
O (0.4834, 0.9834, 0.5000)
O (0.5907, 0.5907, 0.0000)
O (0.8410, 0.4761, 0.0444)
O (0.8410, 0.7966, 0.3649)

[3]
Density functional theory data (PBE) for an optimized crystal structure of SmHO2.

Computed properties:
- crystal system = monoclinic
- ΔH_f (0 K) (meV per atom) = -2931
- DFT total energy (eV per cell) = -56.71

Cell: 4.4298 3.7914 6.2235 Å, 90.00 109.98 90.00°
Fractional positions:
Sm (0.1609, 0.2500, 0.3098)
Sm (0.8391, 0.7500, 0.6902)
H (0.4798, 0.7500, 0.1031)
H (0.5202, 0.2500, 0.8969)
O (0.2492, 0.7500, 0.0693)
O (0.2657, 0.7500, 0.5485)
O (0.7343, 0.2500, 0.4515)
O (0.7508, 0.2500, 0.9307)

[4]
Density functional theory data (PBE) for an optimized crystal structure of SmHO2.

Computed properties:
- crystal system = orthorhombic
- ΔH_f (0 K) (meV per atom) = -2894
- DFT total energy (eV per cell) = -112.84
- total magnetization (μB/cell) = 0.001

Cell: 11.3618 3.6924 5.1177 Å, 90.00 90.00 90.00°
Fractional positions:
Sm (0.1459, 0.2500, 0.0856)
Sm (0.3541, 0.7500, 0.5856)
Sm (0.6459, 0.2500, 0.4144)
Sm (0.8541, 0.7500, 0.9144)
H (0.0906, 0.7500, 0.6267)
H (0.4094, 0.2500, 0.1267)
H (0.5906, 0.7500, 0.8733)
H (0.9094, 0.2500, 0.3733)
O (0.0639, 0.7500, 0.8109)
O (0.1918, 0.7500, 0.3257)
O (0.3082, 0.2500, 0.8257)
O (0.4361, 0.2500, 0.3109)
O (0.5639, 0.7500, 0.6891)
O (0.6918, 0.7500, 0.1743)
O (0.8082, 0.2500, 0.6743)
O (0.9361, 0.2500, 0.1891)

[5]
Density functional theory data (PBE) for an optimized crystal structure of Sn3H2O4.

Computed properties:
- relative energy among the computed polymorphs (eV/f.u.) = 0.00
- crystal system = monoclinic
- ΔH_f (0 K) (meV per atom) = -1501
- DFT total energy (eV per cell) = -197.47

Cell: 8.1548 8.1548 9.2129 Å, 90.12 90.12 90.07°
Fractional positions:
Sn (0.0437, 0.9563, 0.5000)
Sn (0.1570, 0.6732, 0.7797)
Sn (0.1647, 0.6561, 0.2273)
Sn (0.2745, 0.3760, 0.5141)
Sn (0.3760, 0.2745, 0.0141)
Sn (0.4491, 0.7838, 0.5000)
Sn (0.5525, 0.8684, 0.9995)
Sn (0.6561, 0.1647, 0.7273)
Sn (0.6732, 0.1570, 0.2797)
Sn (0.7838, 0.4491, 0.0000)
Sn (0.8684, 0.5525, 0.4995)
Sn (0.9563, 0.0437, 0.0000)
H (0.0044, 0.3396, 0.2713)
H (0.3293, 0.9774, 0.2630)
H (0.3396, 0.0044, 0.7713)
H (0.4750, 0.5099, 0.7476)
H (0.5099, 0.4750, 0.2476)
H (0.8343, 0.8374, 0.2320)
H (0.8374, 0.8343, 0.7320)
H (0.9774, 0.3293, 0.7630)
O (0.0530, 0.4197, 0.3398)
O (0.0758, 0.4873, 0.6294)
O (0.2391, 0.8517, 0.6243)
O (0.2737, 0.9024, 0.3317)
O (0.3444, 0.5810, 0.3847)
O (0.3976, 0.5607, 0.6783)
O (0.4197, 0.0530, 0.8398)
O (0.4873, 0.0758, 0.1294)
O (0.5607, 0.3976, 0.1783)
O (0.5810, 0.3444, 0.8847)
O (0.7437, 0.9801, 0.8754)
O (0.7812, 0.9150, 0.1638)
O (0.8517, 0.2391, 0.1243)
O (0.9024, 0.2737, 0.8317)
O (0.9150, 0.7812, 0.6638)
O (0.9801, 0.7437, 0.3754)

[6]
Density functional theory data (PBE) for an optimized crystal structure of Sn3H2O4.

Computed properties:
- relative energy among the computed polymorphs (eV/f.u.) = 0.53
- crystal system = monoclinic
- ΔH_f (0 K) (meV per atom) = -1442
- DFT total energy (eV per cell) = -195.35
- total magnetization (μB/cell) = 0.001

Cell: 8.3819 8.3819 9.6349 Å, 93.43 93.43 91.09°
Fractional positions:
Sn (0.0474, 0.9526, 0.5000)
Sn (0.1121, 0.6871, 0.2186)
Sn (0.1523, 0.6632, 0.7528)
Sn (0.3065, 0.4088, 0.4376)
Sn (0.4088, 0.3065, 0.9376)
Sn (0.4327, 0.7921, 0.5199)
Sn (0.5430, 0.8728, 0.9826)
Sn (0.6632, 0.1523, 0.2528)
Sn (0.6871, 0.1121, 0.7186)
Sn (0.7921, 0.4327, 0.0199)
Sn (0.8728, 0.5430, 0.4826)
Sn (0.9526, 0.0474, 0.0000)
H (0.0893, 0.3652, 0.6242)
H (0.3184, 0.9859, 0.7357)
H (0.3652, 0.0893, 0.1242)
H (0.4119, 0.6335, 0.2629)
H (0.6335, 0.4119, 0.7629)
H (0.8358, 0.8360, 0.2425)
H (0.8360, 0.8358, 0.7425)
H (0.9859, 0.3184, 0.2357)
O (0.0120, 0.4413, 0.6570)
O (0.0793, 0.4905, 0.3527)
O (0.2233, 0.8302, 0.3899)
O (0.2557, 0.9108, 0.6685)
O (0.3180, 0.5886, 0.6009)
O (0.4413, 0.0120, 0.1570)
O (0.4536, 0.5827, 0.3464)
O (0.4905, 0.0793, 0.8527)
O (0.5827, 0.4536, 0.8464)
O (0.5886, 0.3180, 0.1009)
O (0.7499, 0.9674, 0.1056)
O (0.7850, 0.9080, 0.8119)
O (0.8302, 0.2233, 0.8899)
O (0.9080, 0.7850, 0.3119)
O (0.9108, 0.2557, 0.1685)
O (0.9674, 0.7499, 0.6056)

[7]
Density functional theory data (PBE) for an optimized crystal structure of Sn3H2O4.

Computed properties:
- relative energy among the computed polymorphs (eV/f.u.) = 0.02
- crystal system = tetragonal
- ΔH_f (0 K) (meV per atom) = -1499
- DFT total energy (eV per cell) = -197.41

Cell: 8.0080 8.0080 9.1495 Å, 90.00 90.00 90.00°
Fractional positions:
Sn (0.0000, 0.0000, 0.2215)
Sn (0.0000, 0.0000, 0.7785)
Sn (0.1178, 0.2965, 0.5014)
Sn (0.2035, 0.3822, 0.0014)
Sn (0.2965, 0.8822, 0.4986)
Sn (0.3822, 0.7965, 0.9986)
Sn (0.5000, 0.5000, 0.2785)
Sn (0.5000, 0.5000, 0.7215)
Sn (0.6178, 0.2035, 0.9986)
Sn (0.7035, 0.1178, 0.4986)
Sn (0.7965, 0.6178, 0.0014)
Sn (0.8822, 0.7035, 0.5014)
H (0.1595, 0.6770, 0.2586)
H (0.1770, 0.6595, 0.7586)
H (0.3230, 0.1595, 0.7414)
H (0.3405, 0.1770, 0.2414)
H (0.6595, 0.8230, 0.2414)
H (0.6770, 0.8405, 0.7414)
H (0.8230, 0.3405, 0.7586)
H (0.8405, 0.3230, 0.2586)
O (0.0824, 0.8118, 0.6246)
O (0.1070, 0.7541, 0.3307)
O (0.1882, 0.0824, 0.3754)
O (0.2459, 0.1070, 0.6693)
O (0.2541, 0.6070, 0.8307)
O (0.3118, 0.5824, 0.1246)
O (0.3930, 0.2541, 0.1693)
O (0.4176, 0.3118, 0.8754)
O (0.5824, 0.6882, 0.8754)
O (0.6070, 0.7459, 0.1693)
O (0.6882, 0.4176, 0.1246)
O (0.7459, 0.3930, 0.8307)
O (0.7541, 0.8930, 0.6693)
O (0.8118, 0.9176, 0.3754)
O (0.8930, 0.2459, 0.3307)
O (0.9176, 0.1882, 0.6246)

[8]
Density functional theory data (PBE) for an optimized crystal structure of SrSnH6O6.

Computed properties:
- crystal system = monoclinic
- ΔH_f (0 K) (meV per atom) = -1779
- DFT total energy (eV per cell) = -306.14
- total magnetization (μB/cell) = 0.002

Cell: 9.7104 6.1126 11.0801 Å, 90.00 121.13 90.00°
Fractional positions:
Sr (0.1564, 0.0039, 0.2184)
Sr (0.1564, 0.4961, 0.7184)
Sr (0.8436, 0.5039, 0.2816)
Sr (0.8436, 0.9961, 0.7816)
Sn (0.0000, 0.0000, 0.5000)
Sn (0.0000, 0.5000, 0.0000)
Sn (0.5000, 0.0000, 0.0000)
Sn (0.5000, 0.5000, 0.5000)
H (0.1354, 0.5079, 0.2729)
H (0.1354, 0.9921, 0.7729)
H (0.1931, 0.7202, 0.4817)
H (0.1931, 0.7798, 0.9817)
H (0.2628, 0.2262, 0.9722)
H (0.2628, 0.2738, 0.4722)
H (0.3066, 0.0940, 0.6675)
H (0.3066, 0.4060, 0.1675)
H (0.4131, 0.6084, 0.0223)
H (0.4131, 0.8916, 0.5223)
H (0.4959, 0.1550, 0.2157)
H (0.4959, 0.3450, 0.7157)
H (0.5041, 0.6550, 0.2843)
H (0.5041, 0.8450, 0.7843)
H (0.5869, 0.1084, 0.4777)
H (0.5869, 0.3916, 0.9777)
H (0.6934, 0.5940, 0.8325)
H (0.6934, 0.9060, 0.3325)
H (0.7372, 0.7262, 0.5278)
H (0.7372, 0.7738, 0.0278)
H (0.8069, 0.2202, 0.0183)
H (0.8069, 0.2798, 0.5183)
H (0.8646, 0.0079, 0.2271)
H (0.8646, 0.4921, 0.7271)
O (0.0418, 0.5926, 0.1990)
O (0.0418, 0.9074, 0.6990)
O (0.1018, 0.6995, 0.4966)
O (0.1018, 0.8005, 0.9966)
O (0.2134, 0.1777, 0.5913)
O (0.2134, 0.3223, 0.0913)
O (0.2896, 0.1835, 0.8993)
O (0.2896, 0.3165, 0.3993)
O (0.3572, 0.7123, 0.9453)
O (0.3572, 0.7877, 0.4453)
O (0.4885, 0.5044, 0.3046)
O (0.4885, 0.9956, 0.8046)
O (0.5115, 0.0044, 0.1954)
O (0.5115, 0.4956, 0.6954)
O (0.6428, 0.2123, 0.5547)
O (0.6428, 0.2877, 0.0547)
O (0.7104, 0.6835, 0.6007)
O (0.7104, 0.8165, 0.1007)
O (0.7866, 0.6777, 0.9087)
O (0.7866, 0.8223, 0.4087)
O (0.8982, 0.1995, 0.0034)
O (0.8982, 0.3005, 0.5034)
O (0.9582, 0.0926, 0.3010)
O (0.9582, 0.4074, 0.8010)

[9]
Density functional theory data (PBE) for an optimized crystal structure of SrH16O10.

Computed properties:
- relative energy among the computed polymorphs (eV/f.u.) = 0.95
- crystal system = monoclinic
- ΔH_f (0 K) (meV per atom) = -1367
- DFT total energy (eV per cell) = -270.98
- total magnetization (μB/cell) = 0.000

Cell: 6.4418 6.4418 11.4788 Å, 90.28 90.28 93.40°
Fractional positions:
Sr (0.0008, 0.9992, 0.5000)
Sr (0.9992, 0.0008, 0.0000)
H (0.0209, 0.3687, 0.8492)
H (0.0429, 0.5623, 0.3718)
H (0.1429, 0.6877, 0.1925)
H (0.1561, 0.2939, 0.7018)
H (0.2717, 0.3882, 0.8840)
H (0.2743, 0.6035, 0.0863)
H (0.2800, 0.3783, 0.5911)
H (0.2815, 0.6108, 0.3872)
H (0.2939, 0.1561, 0.2018)
H (0.3076, 0.8575, 0.7813)
H (0.3687, 0.0209, 0.3492)
H (0.3698, 0.7166, 0.6004)
H (0.3783, 0.2800, 0.0911)
H (0.3868, 0.7280, 0.8884)
H (0.3882, 0.2717, 0.3840)
H (0.4468, 0.9526, 0.6166)
H (0.5623, 0.0429, 0.8718)
H (0.6035, 0.2743, 0.5863)
H (0.6077, 0.7086, 0.3896)
H (0.6093, 0.9599, 0.3988)
H (0.6108, 0.2815, 0.8872)
H (0.6170, 0.7165, 0.0946)
H (0.6877, 0.1429, 0.6925)
H (0.6883, 0.8593, 0.2027)
H (0.7086, 0.6077, 0.8896)
H (0.7166, 0.3698, 0.1004)
H (0.7165, 0.6170, 0.5946)
H (0.7280, 0.3868, 0.3884)
H (0.8575, 0.3076, 0.2813)
H (0.8593, 0.6883, 0.7027)
H (0.9526, 0.4468, 0.1166)
H (0.9599, 0.6093, 0.8988)
O (0.1330, 0.6597, 0.1077)
O (0.1448, 0.2910, 0.8595)
O (0.1455, 0.3017, 0.6162)
O (0.1497, 0.6790, 0.3636)
O (0.2910, 0.1448, 0.3595)
O (0.3017, 0.1455, 0.1162)
O (0.3199, 0.8553, 0.6230)
O (0.3228, 0.8630, 0.8678)
O (0.4870, 0.5012, 0.0518)
O (0.4888, 0.5012, 0.9212)
O (0.5012, 0.4870, 0.5518)
O (0.5012, 0.4888, 0.4212)
O (0.6597, 0.1330, 0.6077)
O (0.6790, 0.1497, 0.8636)
O (0.6831, 0.8474, 0.3637)
O (0.7063, 0.8444, 0.1178)
O (0.8444, 0.7063, 0.6178)
O (0.8474, 0.6831, 0.8637)
O (0.8553, 0.3199, 0.1230)
O (0.8630, 0.3228, 0.3678)

[10]
Density functional theory data (PBE) for an optimized crystal structure of SrH4O3.

Computed properties:
- piezoelectric modulus e_max (C/m2) = 0.3
- relative energy among the computed polymorphs (eV/f.u.) = 0.02
- crystal system = monoclinic
- ΔH_f (0 K) (meV per atom) = -1798
- DFT total energy (eV per cell) = -84.85
- total magnetization (μB/cell) = 0.000

Cell: 3.6947 6.8435 6.2097 Å, 90.00 90.18 90.00°
Fractional positions:
Sr (0.0075, 0.0000, 0.1220)
Sr (0.9925, 0.5000, 0.8780)
H (0.2052, 0.5783, 0.3871)
H (0.2143, 0.0663, 0.6187)
H (0.4489, 0.3493, 0.5533)
H (0.4978, 0.8384, 0.7908)
H (0.5022, 0.3384, 0.2092)
H (0.5511, 0.8493, 0.4467)
H (0.7857, 0.5663, 0.3813)
H (0.7948, 0.0783, 0.6129)
O (0.0074, 0.1203, 0.7068)
O (0.4868, 0.4893, 0.5691)
O (0.4987, 0.2837, 0.0638)
O (0.5013, 0.7837, 0.9362)
O (0.5132, 0.9893, 0.4309)
O (0.9926, 0.6203, 0.2932)

[11]
Density functional theory data (PBE) for an optimized crystal structure of SrH16O10.

Computed properties:
- relative energy among the computed polymorphs (eV/f.u.) = 0.00
- crystal system = monoclinic
- ΔH_f (0 K) (meV per atom) = -1402
- DFT total energy (eV per cell) = -272.89
- total magnetization (μB/cell) = 0.001

Cell: 6.3281 6.3281 11.2017 Å, 90.23 90.23 90.19°
Fractional positions:
Sr (0.0020, 0.9980, 0.5000)
Sr (0.9980, 0.0020, 0.0000)
H (0.0353, 0.4517, 0.8751)
H (0.0380, 0.5502, 0.3753)
H (0.1404, 0.3134, 0.7160)
H (0.1406, 0.6878, 0.2156)
H (0.2760, 0.3909, 0.6032)
H (0.2757, 0.6085, 0.1038)
H (0.2777, 0.3909, 0.8947)
H (0.2797, 0.6113, 0.3944)
H (0.3134, 0.1404, 0.2160)
H (0.3148, 0.8570, 0.7857)
H (0.3855, 0.7378, 0.9043)
H (0.3902, 0.7216, 0.6035)
H (0.3909, 0.2760, 0.1032)
H (0.3909, 0.2777, 0.3947)
H (0.4492, 0.9650, 0.6230)
H (0.4517, 0.0353, 0.3751)
H (0.5493, 0.9653, 0.1219)
H (0.5502, 0.0380, 0.8753)
H (0.6085, 0.2757, 0.6038)
H (0.6113, 0.2797, 0.8944)
H (0.6110, 0.7223, 0.1033)
H (0.6106, 0.7232, 0.3940)
H (0.6872, 0.8597, 0.2810)
H (0.6878, 0.1406, 0.7156)
H (0.7216, 0.3902, 0.1035)
H (0.7223, 0.6110, 0.6033)
H (0.7232, 0.6106, 0.8940)
H (0.7378, 0.3855, 0.4043)
H (0.8570, 0.3148, 0.2857)
H (0.8597, 0.6872, 0.7810)
H (0.9650, 0.4492, 0.1230)
H (0.9653, 0.5493, 0.6219)
O (0.1326, 0.3301, 0.6267)
O (0.1328, 0.6702, 0.1264)
O (0.1344, 0.3288, 0.8697)
O (0.1372, 0.6734, 0.3694)
O (0.3281, 0.8636, 0.6306)
O (0.3278, 0.8772, 0.8748)
O (0.3288, 0.1344, 0.3697)
O (0.3301, 0.1326, 0.1267)
O (0.4990, 0.5019, 0.9334)
O (0.4989, 0.5032, 0.5671)
O (0.5019, 0.4990, 0.4334)
O (0.5032, 0.4989, 0.0671)
O (0.6702, 0.1328, 0.6264)
O (0.6709, 0.8667, 0.3703)
O (0.6734, 0.1372, 0.8694)
O (0.6726, 0.8665, 0.1269)
O (0.8636, 0.3281, 0.1306)
O (0.8667, 0.6709, 0.8703)
O (0.8665, 0.6726, 0.6269)
O (0.8772, 0.3278, 0.3748)